[1]
# ErCuS2 PBE relaxed
data_ErCuS2
_chemical_formula_sum 'Er4 Cu4 S8'
_space_group_name_H-M_alt 'P 1'
_space_group_IT_number 1
_space_group_name_Hall 'P 1'
_cell_length_a 3.962
_cell_length_b 6.243
_cell_length_c 13.334
_cell_angle_alpha 90.00
_cell_angle_beta 90.00
_cell_angle_gamma 90.00
loop_
_atom_site_label
_atom_site_type_symbol
_atom_site_fract_x
_atom_site_fract_y
_atom_site_fract_z
_atom_site_occupancy
Er1 Er 0.227 0.250 0.134 1
Er2 Er 0.273 0.750 0.634 1
Er3 Er 0.727 0.250 0.866 1
Er4 Er 0.773 0.750 0.366 1
Cu1 Cu 0.202 0.148 0.446 1
Cu2 Cu 0.298 0.852 0.946 1
Cu3 Cu 0.702 0.352 0.554 1
Cu4 Cu 0.798 0.648 0.054 1
S1 S 0.229 0.488 0.960 1
S2 S 0.230 0.012 0.794 1
S3 S 0.270 0.988 0.294 1
S4 S 0.271 0.512 0.460 1
S5 S 0.729 0.012 0.040 1
S6 S 0.730 0.488 0.206 1
S7 S 0.770 0.512 0.706 1
S8 S 0.771 0.988 0.540 1
# Maximum piezoelectric response   0.22 C/m2
# SG   P2_12_12_1, No. 19
# Energy of formation from the pure elements   -1618.1 meV/atom

---

[2]
# La3CI5 PBE relaxed
data_La3CI5
_chemical_formula_sum 'La6 C2 I10'
_space_group_name_H-M_alt 'P 1'
_space_group_IT_number 1
_space_group_name_Hall 'P 1'
_cell_length_a 8.104
_cell_length_b 9.842
_cell_length_c 9.935
_cell_angle_alpha 107.52
_cell_angle_beta 97.36
_cell_angle_gamma 105.23
loop_
_atom_site_label
_atom_site_type_symbol
_atom_site_fract_x
_atom_site_fract_y
_atom_site_fract_z
_atom_site_occupancy
La1 La 0.028 0.229 0.422 1
La2 La 0.106 0.539 0.274 1
La3 La 0.378 0.639 0.684 1
La4 La 0.622 0.361 0.316 1
La5 La 0.894 0.461 0.726 1
La6 La 0.972 0.771 0.578 1
C1 C 0.087 0.531 0.542 1
C2 C 0.913 0.469 0.458 1
I1 I 0.090 0.871 0.318 1
I2 I 0.182 0.228 0.139 1
I3 I 0.260 0.587 0.966 1
I4 I 0.353 0.966 0.777 1
I5 I 0.455 0.310 0.592 1
I6 I 0.545 0.690 0.408 1
I7 I 0.647 0.034 0.223 1
I8 I 0.740 0.413 0.034 1
I9 I 0.818 0.772 0.861 1
I10 I 0.910 0.129 0.682 1
# SG   P-1, No. 2
# Energy of formation from the pure elements   -1552.6 meV/atom

---

[3]
# Na2Si2S5 PBE relaxed
data_Na2Si2S5
_chemical_formula_sum 'Na8 Si8 S20'
_space_group_name_H-M_alt 'P 1'
_space_group_IT_number 1
_space_group_name_Hall 'P 1'
_cell_length_a 9.106
_cell_length_b 9.106
_cell_length_c 10.539
_cell_angle_alpha 90.00
_cell_angle_beta 90.00
_cell_angle_gamma 90.34
loop_
_atom_site_label
_atom_site_type_symbol
_atom_site_fract_x
_atom_site_fract_y
_atom_site_fract_z
_atom_site_occupancy
Na1 Na 0.097 0.580 0.750 1
Na2 Na 0.151 0.151 0.000 1
Na3 Na 0.151 0.151 0.500 1
Na4 Na 0.420 0.903 0.750 1
Na5 Na 0.580 0.097 0.250 1
Na6 Na 0.849 0.849 0.000 1
Na7 Na 0.849 0.849 0.500 1
Na8 Na 0.903 0.420 0.250 1
Si1 Si 0.253 0.747 0.085 1
Si2 Si 0.253 0.747 0.415 1
Si3 Si 0.311 0.419 0.250 1
Si4 Si 0.419 0.311 0.750 1
Si5 Si 0.581 0.689 0.250 1
Si6 Si 0.689 0.581 0.750 1
Si7 Si 0.747 0.253 0.585 1
Si8 Si 0.747 0.253 0.915 1
S1 S 0.155 0.845 0.250 1
S2 S 0.161 0.839 0.576 1
S3 S 0.161 0.839 0.924 1
S4 S 0.196 0.271 0.750 1
S5 S 0.208 0.513 0.083 1
S6 S 0.208 0.513 0.417 1
S7 S 0.271 0.196 0.250 1
S8 S 0.456 0.544 0.750 1
S9 S 0.487 0.792 0.083 1
S10 S 0.487 0.792 0.417 1
S11 S 0.513 0.208 0.583 1
S12 S 0.513 0.208 0.917 1
S13 S 0.544 0.456 0.250 1
S14 S 0.729 0.804 0.750 1
S15 S 0.792 0.487 0.583 1
S16 S 0.792 0.487 0.917 1
S17 S 0.804 0.729 0.250 1
S18 S 0.839 0.161 0.076 1
S19 S 0.839 0.161 0.424 1
S20 S 0.845 0.155 0.750 1
# SG   Cmcm, No. 63
# Energy of formation from the pure elements   -1195.0 meV/atom

---

[4]
# ZrCo2N2 PBE relaxed
data_ZrCo2N2
_chemical_formula_sum 'Zr1 Co2 N2'
_space_group_name_H-M_alt 'P 1'
_space_group_IT_number 1
_space_group_name_Hall 'P 1'
_cell_length_a 3.131
_cell_length_b 3.131
_cell_length_c 6.147
_cell_angle_alpha 90.00
_cell_angle_beta 90.00
_cell_angle_gamma 120.00
loop_
_atom_site_label
_atom_site_type_symbol
_atom_site_fract_x
_atom_site_fract_y
_atom_site_fract_z
_atom_site_occupancy
Zr1 Zr 0.000 0.000 0.000 1
Co1 Co 0.333 0.667 0.652 1
Co2 Co 0.667 0.333 0.348 1
N1 N 0.333 0.667 0.228 1
N2 N 0.667 0.333 0.772 1
# SG   P-3m1, No. 164
# Energy of formation from the pure elements   -584.7 meV/atom

---

[5]
# CaSn2O4 PBE relaxed
data_CaSn2O4
_chemical_formula_sum 'Ca4 Sn8 O16'
_space_group_name_H-M_alt 'P 1'
_space_group_IT_number 1
_space_group_name_Hall 'P 1'
_cell_length_a 10.265
_cell_length_b 3.252
_cell_length_c 12.193
_cell_angle_alpha 90.00
_cell_angle_beta 90.00
_cell_angle_gamma 90.00
loop_
_atom_site_label
_atom_site_type_symbol
_atom_site_fract_x
_atom_site_fract_y
_atom_site_fract_z
_atom_site_occupancy
Ca1 Ca 0.232 0.250 0.161 1
Ca2 Ca 0.268 0.750 0.661 1
Ca3 Ca 0.732 0.250 0.339 1
Ca4 Ca 0.768 0.750 0.839 1
Sn1 Sn 0.059 0.750 0.389 1
Sn2 Sn 0.085 0.750 0.893 1
Sn3 Sn 0.415 0.250 0.393 1
Sn4 Sn 0.441 0.250 0.889 1
Sn5 Sn 0.559 0.750 0.111 1
Sn6 Sn 0.585 0.750 0.607 1
Sn7 Sn 0.915 0.250 0.107 1
Sn8 Sn 0.941 0.250 0.611 1
O1 O 0.031 0.750 0.692 1
O2 O 0.073 0.750 0.092 1
O3 O 0.113 0.250 0.503 1
O4 O 0.219 0.750 0.294 1
O5 O 0.281 0.250 0.794 1
O6 O 0.387 0.750 0.003 1
O7 O 0.427 0.250 0.592 1
O8 O 0.469 0.250 0.192 1
O9 O 0.531 0.750 0.808 1
O10 O 0.573 0.750 0.408 1
O11 O 0.613 0.250 0.997 1
O12 O 0.719 0.750 0.206 1
O13 O 0.781 0.250 0.706 1
O14 O 0.887 0.750 0.497 1
O15 O 0.927 0.250 0.908 1
O16 O 0.969 0.250 0.308 1
# SG   Pnma, No. 62
# Energy of formation from the pure elements   -2208.9 meV/atom

---

[6]
# RbDyS2O8 PBE relaxed
data_RbDyS2O8
_chemical_formula_sum 'Rb4 Dy4 S8 O32'
_space_group_name_H-M_alt 'P 1'
_space_group_IT_number 1
_space_group_name_Hall 'P 1'
_cell_length_a 9.584
_cell_length_b 13.556
_cell_length_c 5.349
_cell_angle_alpha 90.00
_cell_angle_beta 90.00
_cell_angle_gamma 90.00
loop_
_atom_site_label
_atom_site_type_symbol
_atom_site_fract_x
_atom_site_fract_y
_atom_site_fract_z
_atom_site_occupancy
Rb1 Rb 0.078 0.250 0.250 1
Rb2 Rb 0.422 0.750 0.250 1
Rb3 Rb 0.578 0.250 0.750 1
Rb4 Rb 0.922 0.750 0.750 1
Dy1 Dy 0.250 0.000 0.673 1
Dy2 Dy 0.250 0.500 0.827 1
Dy3 Dy 0.750 0.000 0.327 1
Dy4 Dy 0.750 0.500 0.173 1
S1 S 0.087 0.583 0.264 1
S2 S 0.087 0.917 0.236 1
S3 S 0.413 0.083 0.236 1
S4 S 0.413 0.417 0.264 1
S5 S 0.587 0.583 0.736 1
S6 S 0.587 0.917 0.764 1
S7 S 0.913 0.083 0.764 1
S8 S 0.913 0.417 0.736 1
O1 O 0.064 0.110 0.781 1
O2 O 0.064 0.390 0.719 1
O3 O 0.103 0.022 0.314 1
O4 O 0.103 0.478 0.186 1
O5 O 0.152 0.600 0.513 1
O6 O 0.152 0.900 0.987 1
O7 O 0.157 0.642 0.065 1
O8 O 0.157 0.858 0.435 1
O9 O 0.343 0.142 0.435 1
O10 O 0.343 0.358 0.065 1
O11 O 0.348 0.100 0.987 1
O12 O 0.348 0.400 0.513 1
O13 O 0.397 0.522 0.186 1
O14 O 0.397 0.978 0.314 1
O15 O 0.436 0.610 0.719 1
O16 O 0.436 0.890 0.781 1
O17 O 0.564 0.110 0.219 1
O18 O 0.564 0.390 0.281 1
O19 O 0.603 0.022 0.686 1
O20 O 0.603 0.478 0.814 1
O21 O 0.652 0.600 0.487 1
O22 O 0.652 0.900 0.013 1
O23 O 0.657 0.642 0.935 1
O24 O 0.657 0.858 0.565 1
O25 O 0.843 0.142 0.565 1
O26 O 0.843 0.358 0.935 1
O27 O 0.848 0.100 0.013 1
O28 O 0.848 0.400 0.487 1
O29 O 0.897 0.522 0.814 1
O30 O 0.897 0.978 0.686 1
O31 O 0.936 0.610 0.281 1
O32 O 0.936 0.890 0.219 1
# SG   Pnna, No. 52
# Energy of formation from the pure elements   -2555.0 meV/atom

---

[7]
# CaNi5 PBE relaxed
data_CaNi5
_chemical_formula_sum 'Ca2 Ni10'
_space_group_name_H-M_alt 'P 1'
_space_group_IT_number 1
_space_group_name_Hall 'P 1'
_cell_length_a 6.285
_cell_length_b 6.285
_cell_length_c 6.285
_cell_angle_alpha 103.01
_cell_angle_beta 94.91
_cell_angle_gamma 133.57
loop_
_atom_site_label
_atom_site_type_symbol
_atom_site_fract_x
_atom_site_fract_y
_atom_site_fract_z
_atom_site_occupancy
Ca1 Ca 0.480 0.230 0.250 1
Ca2 Ca 0.520 0.770 0.750 1
Ni1 Ni 0.000 0.000 0.500 1
Ni2 Ni 0.000 0.240 0.240 1
Ni3 Ni 0.000 0.500 0.000 1
Ni4 Ni 0.000 0.760 0.760 1
Ni5 Ni 0.137 0.721 0.417 1
Ni6 Ni 0.196 0.279 0.917 1
Ni7 Ni 0.500 0.240 0.740 1
Ni8 Ni 0.500 0.760 0.260 1
Ni9 Ni 0.804 0.721 0.083 1
Ni10 Ni 0.863 0.279 0.583 1
# SG   Imma, No. 74
# Energy of formation from the pure elements   -108.5 meV/atom

---

[8]
# Cu3Sb PBE relaxed
data_Cu3Sb
_chemical_formula_sum 'Cu6 Sb2'
_space_group_name_H-M_alt 'P 1'
_space_group_IT_number 1
_space_group_name_Hall 'P 1'
_cell_length_a 4.344
_cell_length_b 5.499
_cell_length_c 4.983
_cell_angle_alpha 90.00
_cell_angle_beta 90.00
_cell_angle_gamma 90.00
loop_
_atom_site_label
_atom_site_type_symbol
_atom_site_fract_x
_atom_site_fract_y
_atom_site_fract_z
_atom_site_occupancy
Cu1 Cu 0.250 0.002 0.149 1
Cu2 Cu 0.250 0.498 0.149 1
Cu3 Cu 0.250 0.750 0.703 1
Cu4 Cu 0.750 0.250 0.297 1
Cu5 Cu 0.750 0.502 0.851 1
Cu6 Cu 0.750 0.998 0.851 1
Sb1 Sb 0.250 0.250 0.660 1
Sb2 Sb 0.750 0.750 0.340 1
# SG   Pmmn, No. 59
# Energy of formation from the pure elements   32.4 meV/atom

---

[9]
# EuTa3O9 PBE relaxed
data_EuTa3O9
_chemical_formula_sum 'Eu2 Ta6 O18'
_space_group_name_H-M_alt 'P 1'
_space_group_IT_number 1
_space_group_name_Hall 'P 1'
_cell_length_a 8.819
_cell_length_b 8.819
_cell_length_c 9.717
_cell_angle_alpha 122.99
_cell_angle_beta 122.99
_cell_angle_gamma 36.94
loop_
_atom_site_label
_atom_site_type_symbol
_atom_site_fract_x
_atom_site_fract_y
_atom_site_fract_z
_atom_site_occupancy
Eu1 Eu 0.167 0.167 0.000 1
Eu2 Eu 0.833 0.833 0.000 1
Ta1 Ta 0.084 0.084 0.252 1
Ta2 Ta 0.249 0.249 0.739 1
Ta3 Ta 0.423 0.423 0.258 1
Ta4 Ta 0.577 0.577 0.742 1
Ta5 Ta 0.751 0.751 0.261 1
Ta6 Ta 0.916 0.916 0.748 1
O1 O 0.000 0.000 0.000 1
O2 O 0.075 0.575 0.224 1
O3 O 0.076 0.595 0.767 1
O4 O 0.166 0.166 0.498 1
O5 O 0.231 0.750 0.233 1
O6 O 0.250 0.769 0.767 1
O7 O 0.327 0.327 0.000 1
O8 O 0.405 0.924 0.233 1
O9 O 0.425 0.925 0.776 1
O10 O 0.500 0.500 0.500 1
O11 O 0.575 0.075 0.224 1
O12 O 0.595 0.076 0.767 1
O13 O 0.673 0.673 0.000 1
O14 O 0.750 0.231 0.233 1
O15 O 0.769 0.250 0.767 1
O16 O 0.834 0.834 0.502 1
O17 O 0.924 0.405 0.233 1
O18 O 0.925 0.425 0.776 1
# SG   C2/m, No. 12
# Energy of formation from the pure elements   -3355.4 meV/atom

---

[10]
# BaSbPt PBE relaxed
data_BaSbPt
_chemical_formula_sum 'Ba1 Sb1 Pt1'
_space_group_name_H-M_alt 'P 1'
_space_group_IT_number 1
_space_group_name_Hall 'P 1'
_cell_length_a 4.610
_cell_length_b 4.610
_cell_length_c 4.969
_cell_angle_alpha 90.00
_cell_angle_beta 90.00
_cell_angle_gamma 120.00
loop_
_atom_site_label
_atom_site_type_symbol
_atom_site_fract_x
_atom_site_fract_y
_atom_site_fract_z
_atom_site_occupancy
Ba1 Ba 0.000 0.000 0.000 1
Sb1 Sb 0.667 0.333 0.500 1
Pt1 Pt 0.333 0.667 0.500 1
# SG   P-6m2, No. 187
# Energy of formation from the pure elements   -940.4 meV/atom

---

[11]
# K3Mo2Cl9 PBE relaxed
data_K3Mo2Cl9
_chemical_formula_sum 'K6 Mo4 Cl18'
_space_group_name_H-M_alt 'P 1'
_space_group_IT_number 1
_space_group_name_Hall 'P 1'
_cell_length_a 7.192
_cell_length_b 7.192
_cell_length_c 17.433
_cell_angle_alpha 90.00
_cell_angle_beta 90.00
_cell_angle_gamma 120.00
loop_
_atom_site_label
_atom_site_type_symbol
_atom_site_fract_x
_atom_site_fract_y
_atom_site_fract_z
_atom_site_occupancy
K1 K 0.000 0.000 0.250 1
K2 K 0.000 0.000 0.750 1
K3 K 0.333 0.667 0.066 1
K4 K 0.333 0.667 0.434 1
K5 K 0.667 0.333 0.566 1
K6 K 0.667 0.333 0.934 1
Mo1 Mo 0.333 0.667 0.670 1
Mo2 Mo 0.333 0.667 0.830 1
Mo3 Mo 0.667 0.333 0.170 1
Mo4 Mo 0.667 0.333 0.330 1
Cl1 Cl 0.004 0.546 0.750 1
Cl2 Cl 0.132 0.352 0.592 1
Cl3 Cl 0.132 0.352 0.908 1
Cl4 Cl 0.220 0.868 0.592 1
Cl5 Cl 0.220 0.868 0.908 1
Cl6 Cl 0.352 0.220 0.092 1
Cl7 Cl 0.352 0.220 0.408 1
Cl8 Cl 0.454 0.458 0.750 1
Cl9 Cl 0.458 0.004 0.250 1
Cl10 Cl 0.542 0.996 0.750 1
Cl11 Cl 0.546 0.542 0.250 1
Cl12 Cl 0.648 0.780 0.592 1
Cl13 Cl 0.648 0.780 0.908 1
Cl14 Cl 0.780 0.132 0.092 1
Cl15 Cl 0.780 0.132 0.408 1
Cl16 Cl 0.868 0.648 0.092 1
Cl17 Cl 0.868 0.648 0.408 1
Cl18 Cl 0.996 0.454 0.250 1
# SG   P6_3/m, No. 176
# Energy of formation from the pure elements   -1755.2 meV/atom

---

[12]
# CrAgP2Se6 PBE relaxed
data_CrAgP2Se6
_chemical_formula_sum 'Cr1 Ag1 P2 Se6'
_space_group_name_H-M_alt 'P 1'
_space_group_IT_number 1
_space_group_name_Hall 'P 1'
_cell_length_a 6.381
_cell_length_b 6.381
_cell_length_c 7.351
_cell_angle_alpha 98.04
_cell_angle_beta 98.04
_cell_angle_gamma 120.00
loop_
_atom_site_label
_atom_site_type_symbol
_atom_site_fract_x
_atom_site_fract_y
_atom_site_fract_z
_atom_site_occupancy
Cr1 Cr 0.000 0.000 0.000 1
Ag1 Ag 0.667 0.333 0.000 1
P1 P 0.283 0.615 0.843 1
P2 P 0.385 0.717 0.157 1
Se1 Se 0.097 0.387 0.241 1
Se2 Se 0.213 0.232 0.758 1
Se3 Se 0.369 0.058 0.242 1
Se4 Se 0.613 0.903 0.759 1
Se5 Se 0.768 0.787 0.242 1
Se6 Se 0.942 0.631 0.758 1
# Maximum piezoelectric response   0.25 C/m2
# SG   C2, No. 5
# Energy of formation from the pure elements   -521.9 meV/atom